Below is crystalline P2PbAu2 at its relaxed geometry, with properties calculated at the r2SCAN level.

Calculated values
Density ... 10.4 g/cm³
Formation energy from the elements ... -0.180 eV per atom
Crystal system ... orthorhombic

```
data_P2PbAu2
_chemical_formula_sum 'P8 Pb4 Au8'
_cell_length_a 3.291
_cell_length_b 11.444
_cell_length_c 11.225
_cell_angle_alpha 90.00
_cell_angle_beta 90.00
_cell_angle_gamma 90.00
_symmetry_space_group_name_H-M 'C m c m'
_symmetry_Int_Tables_number 63
_symmetry_space_group_name_Hall '-C 2c 2'
loop_
_atom_site_label
_atom_site_type_symbol
_atom_site_fract_x
_atom_site_fract_y
_atom_site_fract_z
P1 P 0.000 0.201 0.043
Pb1 Pb 0.000 0.476 0.250
Au1 Au 0.000 0.000 0.000
Au2 Au 0.000 0.223 0.250
```

Below is crystalline SrPAu at its relaxed geometry, with properties calculated at the r2SCAN level.

Calculated values
Density ... 7.5 g/cm³
Formation energy from the elements ... -1.032 eV per atom
Crystal system ... hexagonal

```
data_SrPAu
_chemical_formula_sum 'Sr2 P2 Au2'
_cell_length_a 4.3443
_cell_length_b 4.3443
_cell_length_c 8.5010
_cell_angle_alpha 90.00
_cell_angle_beta 90.00
_cell_angle_gamma 120.00
_symmetry_space_group_name_H-M 'P 63/m m c'
_symmetry_Int_Tables_number 194
_symmetry_space_group_name_Hall '-P 6c 2c'
loop_
_atom_site_label
_atom_site_type_symbol
_atom_site_fract_x
_atom_site_fract_y
_atom_site_fract_z
Sr1 Sr 0.0000 0.0000 0.0000
P1 P 0.3333 0.6667 0.2500
Au1 Au 0.3333 0.6667 0.7500
```

Q: What is the formula in the first record?
A: P2PbAu2

Q: Number 1 is which compound?
A: P2PbAu2

Q: formation energy from the elements of number 2 (SrPAu)?
A: -1.032 eV per atom